# Li2V2P4H6O17

An optimized crystal structure of Li2V2P4H6O17 (PBE with a Hubbard U, Materials Project).

Properties
Crystal system: triclinic
E_form: -2.29 eV per atom
Energy: -6.585 eV/atom
Calculated volume: 10.613 Å³/atom

abc: 8.928 9.133 9.334
angles: 118.14 89.91 100.06
Positions (direct):
O  0.957  0.737  0.420
O  0.990  0.770  0.128
P  0.574  0.306  0.548
O  0.742  0.563  0.071
H  0.117  0.602  0.605
H  0.651  0.887  0.504
O  0.555  0.266  0.082
H  0.944  0.405  0.239
O  0.148  0.638  0.718
O  0.967  0.075  0.275
Li  0.756  0.108  0.202
O  0.656  0.999  0.908
O  0.819  0.981  0.591
O  0.852  0.362  0.282
P  0.895  0.838  0.584
O  0.918  0.513  0.844
H  0.703  0.441  0.985
H  0.568  0.889  0.285
P  0.589  0.142  0.910
H  0.883  0.398  0.395
O  0.217  0.234  0.049
P  0.411  0.858  0.090
O  0.306  0.750  0.151
H  0.056  0.595  0.761
V  0.373  0.264  0.220
O  0.181  0.019  0.409
O  0.567  0.937  0.208
Li  0.682  0.482  0.268
O  0.435  0.520  0.307
H  0.027  0.051  0.798
H  0.297  0.559  0.015
O  0.010  0.230  0.872
O  0.445  0.177  0.576
O  0.460  0.709  0.619
O  0.273  0.749  0.453
P  0.426  0.694  0.452
Li  0.244  0.892  0.798
O  0.082  0.487  0.156
O  0.033  0.925  0.725
O  0.779  0.709  0.610
P  0.859  0.651  0.992
V  0.627  0.736  0.780
O  0.565  0.480  0.693
O  0.344  0.001  0.092
O  0.258  0.437  0.929
V  0.131  0.753  0.290
O  0.043  0.263  0.580
H  0.349  0.113  0.496
O  0.221  0.291  0.390
Li  0.318  0.518  0.732
O  0.433  0.063  0.792
O  0.783  0.766  0.951
H  0.432  0.111  0.715
V  0.869  0.247  0.710
P  0.141  0.349  0.008
O  0.445  0.734  0.918
O  0.555  0.823  0.424
P  0.105  0.162  0.416
O  0.727  0.251  0.547
H  0.973  0.949  0.202
O  0.694  0.250  0.849
O  0.540  0.291  0.381

=====

# NiAs2S6O12F12

An optimized crystal structure of NiAs2S6O12F12 (PBE with a Hubbard U, Materials Project).

Properties
Crystal system: monoclinic
E_form: -1.94 eV per atom
Energy: -5.154 eV/atom
Calculated volume: 16.913 Å³/atom

abc: 8.950 8.093 15.432
angles: 87.04 90.00 90.00
Positions (direct):
S  0.506  0.297  0.342
F  0.420  0.228  0.755
F  0.815  0.243  0.309
O  0.666  0.080  0.583
F  0.006  0.525  0.667
F  0.580  0.772  0.245
S  0.006  0.703  0.158
F  0.494  0.525  0.167
F  0.676  0.726  0.094
O  0.834  0.080  0.083
O  0.684  0.602  0.423
As  0.004  0.741  0.642
F  0.080  0.228  0.255
F  0.088  0.711  0.540
F  0.994  0.475  0.333
O  0.668  0.381  0.604
O  0.832  0.381  0.104
O  0.981  0.224  0.931
S  0.494  0.703  0.658
O  0.536  0.813  0.724
S  0.744  0.759  0.905
O  0.166  0.920  0.917
F  0.324  0.274  0.906
Ni  0.000  0.000  0.000
F  0.315  0.757  0.191
O  0.036  0.187  0.776
S  0.258  0.776  0.384
S  0.242  0.776  0.884
F  0.912  0.289  0.460
S  0.994  0.297  0.842
As  0.496  0.741  0.142
F  0.920  0.772  0.745
O  0.826  0.908  0.928
O  0.964  0.813  0.224
S  0.758  0.224  0.116
O  0.519  0.224  0.431
S  0.244  0.241  0.595
S  0.256  0.241  0.095
S  0.756  0.759  0.405
F  0.685  0.243  0.809
O  0.674  0.908  0.428
F  0.003  0.957  0.619
O  0.019  0.776  0.069
F  0.506  0.475  0.833
F  0.185  0.757  0.691
O  0.332  0.619  0.396
F  0.503  0.043  0.881
F  0.824  0.726  0.594
O  0.334  0.920  0.417
O  0.316  0.398  0.577
O  0.464  0.187  0.276
As  0.504  0.259  0.858
O  0.326  0.092  0.572
F  0.588  0.289  0.960
O  0.174  0.092  0.072
F  0.176  0.274  0.406
O  0.168  0.619  0.896
O  0.184  0.398  0.077
F  0.497  0.957  0.119
As  0.996  0.259  0.358
Ni  0.500  0.000  0.500
F  0.997  0.043  0.381
F  0.412  0.711  0.040
O  0.816  0.602  0.923
O  0.481  0.776  0.569
S  0.742  0.224  0.616

=====

# Li9Mn2Co5O16

An optimized crystal structure of Li9Mn2Co5O16 (PBE with a Hubbard U, Materials Project).

Properties
Crystal system: triclinic
E_form: -1.80 eV per atom
Energy: -5.793 eV/atom
Calculated volume: 8.985 Å³/atom

abc: 2.909 5.141 19.300
angles: 94.70 91.70 90.65
Positions (direct):
O  0.030  0.718  0.065
Li  0.482  0.998  0.496
O  0.524  0.166  0.058
Co  0.000  0.229  0.760
O  0.500  0.909  0.312
Li  0.990  0.877  0.627
Co  0.981  0.508  0.498
O  0.950  0.805  0.435
Co  0.008  0.741  0.251
Mn  0.011  0.012  0.997
Li  0.513  0.495  0.996
Li  0.504  0.247  0.250
O  0.482  0.662  0.563
Co  0.492  0.626  0.375
O  0.997  0.043  0.186
O  0.521  0.573  0.190
Li  0.500  0.133  0.877
Li  0.487  0.749  0.757
Co  0.514  0.873  0.125
O  0.498  0.835  0.946
Li  0.996  0.128  0.374
O  0.005  0.289  0.944
O  0.001  0.946  0.807
Li  0.005  0.377  0.125
O  0.495  0.098  0.685
O  0.005  0.538  0.679
O  0.484  0.341  0.436
O  0.980  0.210  0.568
O  0.507  0.428  0.807
O  0.034  0.451  0.315
Mn  0.492  0.374  0.625
Li  0.013  0.621  0.872